MgMn6O7F5 (PBE with a Hubbard U, optimized geometry); symmetry = P1, No. 1; E_form = -4347 kJ/mol of formula units; mass density = 4.08 g/cm3; total magnetic moment = 1.316 μB/atom; ΔE to the lowest computed polymorph = 34 meV per atom
1.0
2.180 -1.498 -4.473
-2.425 -7.331 0.318
-4.907 2.320 -2.105
Mg Mn O F
1 6 7 5
Cartesian
-2.610 -3.333 -3.063
-1.315 0.238 -3.445
-0.890 -5.680 -2.688
-4.088 -0.997 -3.758
-2.819 -4.909 -5.680
-0.348 -2.926 -4.999
2.101 -1.506 -4.393
-4.723 -4.751 -5.753
0.217 -1.214 -4.430
-2.821 0.184 -4.631
-2.773 -5.381 -3.754
-0.534 -3.606 -3.128
-4.648 -2.814 -3.088
-2.480 -1.175 -2.537
-2.496 -2.854 -4.973
-2.371 -6.897 -1.684
-2.933 -3.435 -1.113
-0.401 -1.884 -0.599
-5.466 -5.384 -1.872

MgMn6O7F5 (PBE with a Hubbard U, optimized geometry); symmetry = P1, No. 1; E_form = -4312 kJ/mol of formula units; mass density = 4.14 g/cm3; total magnetic moment = 1.316 μB/atom; ΔE to the lowest computed polymorph = 53 meV per atom
1.0
4.767 -1.592 -0.959
-1.308 1.768 -7.281
2.635 5.069 1.249
Mg Mn O F
1 6 7 5
Cartesian
1.622 3.556 -0.454
2.663 3.658 -7.022
2.083 1.314 -5.203
4.092 3.926 -2.120
5.516 3.045 -5.055
4.462 0.677 -3.097
-1.022 2.000 -7.036
5.163 2.628 -3.107
5.480 5.124 -5.112
4.908 0.581 -1.025
3.584 2.784 -5.549
2.622 0.307 -3.723
3.046 2.550 -1.336
1.474 5.023 -5.968
5.457 3.385 -0.395
2.713 4.772 -3.475
1.053 2.147 -6.692
0.944 2.438 -4.014
3.058 5.194 -0.644

MgMn6O7F5 (PBE with a Hubbard U, optimized geometry); symmetry = P1, No. 1; E_form = -4184 kJ/mol of formula units; mass density = 3.91 g/cm3; total magnetic moment = 1.316 μB/atom; ΔE to the lowest computed polymorph = 123 meV per atom
1.0
3.904 3.049 -1.303
5.816 -5.640 0.190
-1.963 -0.870 -5.469
Mg Mn O F
1 6 7 5
Cartesian
4.573 -2.840 -4.127
1.142 0.882 -3.218
5.788 -2.254 -1.372
1.965 -0.912 -5.308
6.416 -1.278 -4.888
5.069 0.792 -3.063
3.760 -6.365 -5.244
4.760 -0.787 -4.122
5.583 -2.664 -5.885
1.757 0.954 -5.116
4.945 -0.320 -1.481
1.384 -0.986 -3.367
6.015 -4.403 -1.373
4.244 -4.854 -4.166
3.160 1.693 -2.444
6.419 -2.815 -3.288
2.696 -2.782 -5.024
3.512 -2.959 -2.447
1.949 -0.801 -0.594

MgMn12O17F7 (PBE with a Hubbard U, optimized geometry); symmetry = P1, No. 1; E_form = -7552 kJ/mol of formula units; mass density = 4.40 g/cm3; total magnetic moment = 1.214 μB/atom; ΔE to the lowest computed polymorph = 15 meV per atom
1.0
4.720 0.038 0.000
0.046 5.715 -0.011
-0.007 -0.024 15.222
Mg Mn O F
1 12 17 7
Cartesian
4.447 3.720 9.571
0.112 0.896 6.218
0.051 4.713 3.691
4.642 0.937 1.245
0.051 0.884 11.422
2.182 5.201 8.663
4.535 4.767 13.939
2.143 1.846 14.063
2.313 2.217 8.868
2.250 2.019 3.853
2.241 3.573 1.418
2.308 3.585 6.246
2.246 3.643 11.709
0.999 0.636 4.523
1.232 0.856 9.554
0.772 0.550 14.789
0.983 5.013 2.065
1.277 5.125 6.971
0.853 4.934 12.276
1.237 2.366 7.238
1.204 2.250 2.262
1.274 3.394 4.704
1.543 3.810 9.904
1.162 2.094 12.401
3.216 2.129 0.480
3.332 3.461 2.945
3.344 2.145 5.450
3.285 3.720 7.988
3.235 3.427 13.289
3.525 2.350 10.591
1.042 3.427 15.057
3.470 0.702 2.923
3.624 0.818 7.906
3.645 4.899 5.385
3.384 4.927 0.440
3.341 0.534 13.003
3.630 5.268 10.385

MgMn6O11F (PBE with a Hubbard U, optimized geometry); symmetry = P1, No. 1; E_form = -3627 kJ/mol of formula units; mass density = 4.44 g/cm3; total magnetic moment = 1.105 μB/atom; ΔE to the lowest computed polymorph = 35 meV per atom
1.0
4.186 0.351 -2.647
1.790 -7.232 1.045
-3.288 -0.794 -4.415
Mg Mn O F
1 6 11 1
Cartesian
0.929 -3.562 0.481
0.433 -0.262 -3.549
2.960 -4.932 -1.311
-0.046 -2.892 -4.707
-0.868 -5.529 -2.142
3.403 -2.194 -3.939
4.173 0.305 -2.665
2.202 -3.464 -4.665
1.797 -5.968 -5.670
2.558 -0.637 -3.418
0.329 -1.105 -5.305
2.737 -5.720 -3.061
3.165 -3.075 -2.011
-0.437 -4.729 -4.031
-0.053 -2.044 -2.982
2.238 -6.618 -0.764
0.790 -1.749 -0.428
0.028 -7.097 -2.643
0.582 -4.342 -1.367

MgMn6O7F5 (PBE with a Hubbard U, optimized geometry); symmetry = P1, No. 1; E_form = -4374 kJ/mol of formula units; mass density = 4.03 g/cm3; total magnetic moment = 1.316 μB/atom; ΔE to the lowest computed polymorph = 19 meV per atom
1.0
-5.287 0.510 0.026
-0.515 4.829 -5.978
0.561 -4.919 -3.060
Mg Mn O F
1 6 7 5
Cartesian
-0.291 2.325 -6.073
-2.479 -1.958 -1.533
-2.947 2.623 -4.425
-2.319 -2.288 -4.510
-5.003 0.031 -5.986
-5.247 0.444 -2.915
0.490 -4.678 -3.094
-4.480 -0.386 -1.308
-3.302 -2.972 -2.961
-3.831 1.841 -6.050
-3.918 1.846 -2.924
-1.423 -1.518 -6.041
-1.435 -1.303 -3.020
-1.923 3.490 -5.923
-4.057 -0.615 -4.340
-4.742 4.067 -4.618
-0.811 0.948 -4.623
-1.214 1.103 -1.513
-0.878 0.988 -7.464

MgMn6O7F5 (PBE with a Hubbard U, optimized geometry); symmetry = P1, No. 1; E_form = -4335 kJ/mol of formula units; mass density = 4.08 g/cm3; total magnetic moment = 1.316 μB/atom; ΔE to the lowest computed polymorph = 41 meV per atom
1.0
-5.175 0.260 0.021
-0.247 4.886 -6.081
0.278 -4.853 -3.021
Mg Mn O F
1 6 7 5
Cartesian
-2.565 0.139 -1.464
-2.250 2.276 -7.672
-2.908 2.749 -4.545
-2.872 -1.959 -4.369
-5.135 0.249 -6.047
0.004 0.098 -3.091
-5.376 4.983 -5.866
-4.371 -0.612 -4.492
-4.288 -0.814 -7.461
-3.046 -3.424 -3.079
-3.551 1.533 -2.779
-1.747 -1.106 -2.921
-1.911 3.593 -6.293
-0.755 0.900 -7.574
-4.280 -0.843 -1.373
-3.402 1.507 -6.186
-1.737 -1.202 -5.878
-0.885 1.169 -4.705
-0.775 1.011 -1.453

MgMn6O5F7 (PBE with a Hubbard U, optimized geometry); symmetry = P1, No. 1; E_form = -4686 kJ/mol of formula units; mass density = 3.76 g/cm3; total magnetic moment = 1.421 μB/atom; ΔE to the lowest computed polymorph = 0 meV per atom
1.0
-4.964 5.492 2.933
-0.150 5.495 -3.074
-5.048 0.041 -3.180
Mg Mn O F
1 6 5 7
Cartesian
-5.145 2.787 -1.693
-7.879 8.723 -1.821
-4.832 5.502 -0.048
-4.922 5.597 -3.241
-2.152 2.411 -1.424
-4.583 8.147 -1.623
-9.928 5.573 -0.351
-5.630 6.329 -1.595
-5.847 6.335 1.368
-3.970 4.616 1.439
-4.183 4.814 -4.841
-4.014 7.299 -3.470
-6.110 3.565 -0.138
-6.069 3.823 -3.123
-6.240 6.567 -5.032
-3.855 4.365 -1.490
-3.463 7.282 -0.047
-3.788 2.126 -3.099
-6.413 8.997 -0.252

MgMn4O4F6 (PBE with a Hubbard U, optimized geometry); symmetry = P1, No. 1; E_form = -3748 kJ/mol of formula units; mass density = 3.85 g/cm3; total magnetic moment = 1.067 μB/atom; ΔE to the lowest computed polymorph = 0 meV per atom
1.0
-5.092 -0.025 -0.025
-2.523 5.419 0.012
-2.591 -3.256 -6.601
Mg Mn O F
1 4 4 6
Cartesian
-3.743 2.441 -1.066
-6.523 2.560 -5.758
-6.347 1.326 -2.591
-3.951 0.690 -4.172
-6.246 4.968 -0.849
-8.030 1.301 -5.757
-5.536 1.827 -4.263
-4.612 0.489 -2.326
-2.250 0.909 -0.898
-7.919 2.460 -2.902
-7.366 -2.006 -6.391
-5.461 3.176 -1.633
-4.607 -1.062 -5.013
-2.864 4.061 -0.406
-2.345 -0.150 -3.549

MgMn8O8F8 (PBE with a Hubbard U, optimized geometry); symmetry = P1, No. 1; E_form = -5689 kJ/mol of formula units; mass density = 4.19 g/cm3; total magnetic moment = 1.359 μB/atom; ΔE to the lowest computed polymorph = 42 meV per atom
1.0
-1.231 -2.715 -3.735
2.821 -3.643 1.772
-9.765 -4.464 6.418
Mg Mn O F
1 8 8 8
Cartesian
-4.669 -6.739 0.420
1.432 -6.118 -2.004
-2.417 -1.210 1.424
-3.264 -8.384 1.415
-7.435 -3.560 4.649
-5.238 -6.106 3.293
-0.615 -3.624 -0.452
-2.601 -4.840 1.536
-7.756 -7.100 4.741
-1.659 -4.915 3.237
-4.014 -5.907 4.778
-6.650 -7.323 6.370
-2.047 -3.093 0.826
-6.795 -5.469 4.210
0.957 -4.271 -1.385
-3.643 -6.481 2.066
-1.799 -3.386 -2.041
0.563 -3.903 1.288
0.303 -1.699 -0.649
-4.472 -4.000 2.553
-1.255 -5.671 0.166
-6.048 -7.984 3.612
-3.998 -4.892 -0.115
-6.242 -5.904 1.391
-8.932 -6.835 3.033

MgMn6O7F5 (PBE with a Hubbard U, optimized geometry); symmetry = P1, No. 1; E_form = -4334 kJ/mol of formula units; mass density = 4.10 g/cm3; total magnetic moment = 1.316 μB/atom; ΔE to the lowest computed polymorph = 41 meV per atom
1.0
-5.188 0.494 0.023
-0.489 4.759 -6.254
0.533 -4.716 -3.095
Mg Mn O F
1 6 7 5
Cartesian
-0.322 2.196 -3.215
-2.594 2.392 -7.933
-2.938 2.679 -4.759
-2.249 -2.159 -4.663
-0.155 0.328 -6.345
-4.462 -0.267 -2.965
0.464 -4.414 -3.146
-4.147 -0.189 -1.175
-3.511 -2.379 -3.105
-3.717 1.829 -6.432
-3.808 1.646 -3.103
-1.376 -1.259 -6.209
-1.181 -1.454 -3.138
-1.066 1.003 -7.894
-4.236 -0.501 -4.958
-4.187 -0.708 -7.634
-1.848 3.552 -6.362
-1.133 1.242 -4.724
-1.146 1.141 -1.746

MgMn6O7F5 (PBE with a Hubbard U, optimized geometry); symmetry = P1, No. 1; E_form = -4353 kJ/mol of formula units; mass density = 4.22 g/cm3; total magnetic moment = 1.316 μB/atom; ΔE to the lowest computed polymorph = 31 meV per atom
1.0
-5.057 4.954 3.165
-0.236 4.752 -3.219
-4.871 0.226 -3.232
Mg Mn O F
1 6 7 5
Cartesian
-7.380 5.077 -3.216
-7.813 7.743 -1.825
-5.313 5.004 -0.096
-4.112 4.268 -3.071
-2.738 1.949 -1.568
-2.889 7.126 -1.545
-4.878 0.475 -3.307
-6.565 3.524 -0.119
-6.079 5.792 1.530
-3.912 4.433 -5.012
-3.936 3.942 -1.227
-3.678 6.128 -2.956
-3.864 6.348 -0.078
-3.770 2.197 -3.377
-6.321 3.478 -3.000
-6.249 5.804 -4.661
-6.529 6.028 -1.667
-3.843 4.143 1.481
-1.547 3.474 -3.204

> Which value of total magnetic moment does entry 1 give?

1.316 μB/atom

> Which value of E_form does entry 7 give?

-4335 kJ/mol of formula units

> The highest mass density belongs to which entry?

MgMn6O11F

> Which of these has the highest ΔE to the lowest computed polymorph?

number 3